(1)
Entry from Materials Project: crystalline Sc2AgOs at its relaxed geometry (meta-GGA r2SCAN).

```
data_Sc2AgOs
_chemical_formula_sum 'Sc2 Ag1 Os1'
_cell_length_a 4.657
_cell_length_b 4.657
_cell_length_c 4.657
_cell_angle_alpha 60.00
_cell_angle_beta 60.00
_cell_angle_gamma 60.00
_symmetry_space_group_name_H-M 'P 1'
_symmetry_Int_Tables_number 1
loop_
_symmetry_equiv_pos_as_xyz
'x,y,z'
loop_
_atom_site_label
_atom_site_fract_x
_atom_site_fract_y
_atom_site_fract_z
Sc1 0.000 0.000 0.000
Sc2 0.500 0.500 0.500
Ag1 0.250 0.250 0.250
Os1 0.750 0.750 0.750
```

Summary:
Its symmetry is Fm-3m. The formation enthalpy at 0 K comes out at -0.40 eV per atom.

=====

(2)
Entry from Materials Project: crystalline LiPm2Ge at its relaxed geometry (meta-GGA r2SCAN).

```
data_LiPm2Ge
_chemical_formula_sum 'Li1 Pm2 Ge1'
_cell_length_a 5.147
_cell_length_b 5.147
_cell_length_c 5.147
_cell_angle_alpha 60.00
_cell_angle_beta 60.00
_cell_angle_gamma 60.00
_symmetry_space_group_name_H-M 'P 1'
_symmetry_Int_Tables_number 1
loop_
_symmetry_equiv_pos_as_xyz
'x,y,z'
loop_
_atom_site_label
_atom_site_fract_x
_atom_site_fract_y
_atom_site_fract_z
Pm1 0.000 0.000 0.000
Pm2 0.500 0.500 0.500
Ge1 0.250 0.250 0.250
Li1 0.750 0.750 0.750
```

Summary:
Its symmetry is Fm-3m. The formation enthalpy at 0 K comes out at -0.48 eV per atom.

=====

(3)
Entry from Materials Project: crystalline LiTl3 at its relaxed geometry (meta-GGA r2SCAN).

```
data_LiTl3
_chemical_formula_sum 'Li1 Tl3'
_cell_length_a 4.698
_cell_length_b 4.698
_cell_length_c 4.698
_cell_angle_alpha 90.00
_cell_angle_beta 90.00
_cell_angle_gamma 90.00
_symmetry_space_group_name_H-M 'P 1'
_symmetry_Int_Tables_number 1
loop_
_symmetry_equiv_pos_as_xyz
'x,y,z'
loop_
_atom_site_label
_atom_site_fract_x
_atom_site_fract_y
_atom_site_fract_z
Tl1 0.000 0.500 0.500
Tl2 0.500 0.500 0.000
Tl3 0.500 0.000 0.500
Li1 0.000 0.000 0.000
```

Summary:
Its symmetry is Pm-3m. The formation enthalpy at 0 K comes out at -0.09 eV per atom.

=====

(4)
Entry from Materials Project: crystalline PbWO4 at its relaxed geometry (meta-GGA r2SCAN).

```
data_PbWO4
_chemical_formula_sum 'Pb4 W4 O16'
_cell_length_a 4.987
_cell_length_b 5.613
_cell_length_c 13.646
_cell_angle_alpha 71.99
_cell_angle_beta 90.00
_cell_angle_gamma 90.00
_symmetry_space_group_name_H-M 'P 1'
_symmetry_Int_Tables_number 1
loop_
_symmetry_equiv_pos_as_xyz
'x,y,z'
loop_
_atom_site_label
_atom_site_fract_x
_atom_site_fract_y
_atom_site_fract_z
O1 0.107 0.540 0.813
O2 0.557 0.392 0.939
O3 0.607 0.460 0.687
O4 0.544 0.728 0.482
O5 0.956 0.728 0.982
O6 0.385 0.910 0.851
O7 0.943 0.392 0.439
O8 0.044 0.272 0.018
O9 0.456 0.272 0.518
O10 0.057 0.608 0.561
O11 0.443 0.608 0.061
O12 0.893 0.460 0.187
O13 0.115 0.910 0.351
O14 0.885 0.090 0.649
O15 0.393 0.540 0.313
O16 0.615 0.090 0.149
W1 0.751 0.388 0.577
W2 0.251 0.612 0.923
W3 0.749 0.388 0.077
W4 0.249 0.612 0.423
Pb1 0.803 0.168 0.849
Pb2 0.197 0.832 0.151
Pb3 0.697 0.168 0.349
Pb4 0.303 0.832 0.651
```

Summary:
Its symmetry is P2_1/c. The formation enthalpy at 0 K comes out at -2.06 eV per atom.

=====

(5)
Entry from Materials Project: crystalline TiAgPO5 at its relaxed geometry (meta-GGA r2SCAN).

```
data_TiAgPO5
_chemical_formula_sum 'Ti8 Ag8 P8 O40'
_cell_length_a 6.293
_cell_length_b 10.499
_cell_length_c 12.514
_cell_angle_alpha 90.00
_cell_angle_beta 90.00
_cell_angle_gamma 90.00
_symmetry_space_group_name_H-M 'P 1'
_symmetry_Int_Tables_number 1
loop_
_symmetry_equiv_pos_as_xyz
'x,y,z'
loop_
_atom_site_label
_atom_site_fract_x
_atom_site_fract_y
_atom_site_fract_z
Ti1 0.206 0.235 0.782
Ti2 0.539 0.007 0.129
Ti3 0.706 0.735 0.718
Ti4 0.461 0.507 0.871
Ti5 0.039 0.507 0.371
Ti6 0.794 0.735 0.218
Ti7 0.294 0.235 0.282
Ti8 0.961 0.007 0.629
O1 0.698 0.734 0.565
O2 0.541 0.188 0.034
O3 0.418 0.096 0.777
O4 0.349 0.546 0.379
O5 0.993 0.119 0.752
O6 0.735 0.500 0.392
O7 0.849 0.046 0.121
O8 0.235 0.000 0.108
O9 0.651 0.046 0.621
O10 0.986 0.370 0.769
O11 0.198 0.234 0.935
O12 0.041 0.688 0.466
O13 0.265 0.000 0.608
O14 0.918 0.596 0.723
O15 0.082 0.416 0.511
O16 0.302 0.234 0.435
O17 0.582 0.596 0.223
O18 0.802 0.734 0.065
O19 0.082 0.096 0.277
O20 0.514 0.370 0.269
O21 0.563 0.864 0.202
O22 0.959 0.188 0.534
O23 0.918 0.916 0.489
O24 0.582 0.916 0.989
O25 0.418 0.416 0.011
O26 0.486 0.870 0.731
O27 0.007 0.619 0.248
O28 0.716 0.768 0.371
O29 0.493 0.619 0.748
O30 0.063 0.364 0.298
O31 0.459 0.688 0.966
O32 0.216 0.268 0.129
O33 0.507 0.119 0.252
O34 0.765 0.500 0.892
O35 0.437 0.364 0.798
O36 0.937 0.864 0.702
O37 0.151 0.546 0.879
O38 0.784 0.768 0.871
O39 0.014 0.870 0.231
O40 0.284 0.268 0.629
P1 0.045 0.003 0.183
P2 0.153 0.277 0.526
P3 0.955 0.503 0.817
P4 0.455 0.003 0.683
P5 0.847 0.777 0.474
P6 0.653 0.777 0.974
P7 0.347 0.277 0.026
P8 0.545 0.503 0.317
Ag1 0.180 0.792 0.842
Ag2 0.249 0.612 0.112
Ag3 0.320 0.792 0.342
Ag4 0.751 0.112 0.888
Ag5 0.820 0.292 0.158
Ag6 0.749 0.112 0.388
Ag7 0.680 0.292 0.658
Ag8 0.251 0.612 0.612
```

Summary:
Its symmetry is Pna2_1. The formation enthalpy at 0 K comes out at -2.38 eV per atom.

=====

(6)
Entry from Materials Project: crystalline Na2S at its relaxed geometry (meta-GGA r2SCAN).

```
data_Na2S
_chemical_formula_sum 'Na8 S4'
_cell_length_a 4.293
_cell_length_b 7.064
_cell_length_c 8.311
_cell_angle_alpha 90.00
_cell_angle_beta 90.00
_cell_angle_gamma 90.00
_symmetry_space_group_name_H-M 'P 1'
_symmetry_Int_Tables_number 1
loop_
_symmetry_equiv_pos_as_xyz
'x,y,z'
loop_
_atom_site_label
_atom_site_fract_x
_atom_site_fract_y
_atom_site_fract_z
Na1 0.750 0.355 0.073
Na2 0.750 0.855 0.427
Na3 0.250 0.145 0.573
Na4 0.250 0.021 0.168
Na5 0.750 0.479 0.668
Na6 0.250 0.645 0.927
Na7 0.750 0.979 0.832
Na8 0.250 0.521 0.332
S1 0.250 0.253 0.888
S2 0.750 0.747 0.112
S3 0.250 0.753 0.612
S4 0.750 0.247 0.388
```

Summary:
Its symmetry is Pnma. The formation enthalpy at 0 K comes out at -1.23 eV per atom.

=====

(7)
Entry from Materials Project: crystalline CaYbCd2 at its relaxed geometry (meta-GGA r2SCAN).

```
data_CaYbCd2
_chemical_formula_sum 'Ca1 Yb1 Cd2'
_cell_length_a 5.258
_cell_length_b 5.258
_cell_length_c 5.258
_cell_angle_alpha 60.00
_cell_angle_beta 60.00
_cell_angle_gamma 60.00
_symmetry_space_group_name_H-M 'P 1'
_symmetry_Int_Tables_number 1
loop_
_symmetry_equiv_pos_as_xyz
'x,y,z'
loop_
_atom_site_label
_atom_site_fract_x
_atom_site_fract_y
_atom_site_fract_z
Cd1 0.750 0.750 0.750
Cd2 0.250 0.250 0.250
Yb1 0.000 0.000 0.000
Ca1 0.500 0.500 0.500
```

Summary:
Its symmetry is Fm-3m. The formation enthalpy at 0 K comes out at -0.36 eV per atom.

=====

(8)
Entry from Materials Project: crystalline RbBF4 at its relaxed geometry (meta-GGA r2SCAN).

```
data_RbBF4
_chemical_formula_sum 'Rb4 B4 F16'
_cell_length_a 5.502
_cell_length_b 7.218
_cell_length_c 9.019
_cell_angle_alpha 90.00
_cell_angle_beta 90.00
_cell_angle_gamma 90.00
_symmetry_space_group_name_H-M 'P 1'
_symmetry_Int_Tables_number 1
loop_
_symmetry_equiv_pos_as_xyz
'x,y,z'
loop_
_atom_site_label
_atom_site_fract_x
_atom_site_fract_y
_atom_site_fract_z
F1 0.250 0.610 0.079
F2 0.542 0.194 0.077
F3 0.750 0.059 0.675
F4 0.250 0.559 0.825
F5 0.458 0.694 0.423
F6 0.042 0.694 0.423
F7 0.958 0.194 0.077
F8 0.250 0.890 0.579
F9 0.958 0.306 0.577
F10 0.750 0.110 0.421
F11 0.042 0.806 0.923
F12 0.750 0.390 0.921
F13 0.542 0.306 0.577
F14 0.250 0.941 0.325
F15 0.458 0.806 0.923
F16 0.750 0.441 0.175
Rb1 0.250 0.160 0.815
Rb2 0.750 0.840 0.185
Rb3 0.750 0.660 0.685
Rb4 0.250 0.340 0.315
B1 0.250 0.693 0.938
B2 0.750 0.193 0.562
B3 0.750 0.307 0.062
B4 0.250 0.807 0.438
```

Summary:
Its symmetry is Pnma. The formation enthalpy at 0 K comes out at -3.21 eV per atom.

=====

(9)
Entry from Materials Project: crystalline CoB3Mo3 at its relaxed geometry (meta-GGA r2SCAN).

```
data_CoB3Mo3
_chemical_formula_sum 'Co2 B6 Mo6'
_cell_length_a 3.151
_cell_length_b 4.499
_cell_length_c 10.738
_cell_angle_alpha 90.00
_cell_angle_beta 90.00
_cell_angle_gamma 110.50
_symmetry_space_group_name_H-M 'P 1'
_symmetry_Int_Tables_number 1
loop_
_symmetry_equiv_pos_as_xyz
'x,y,z'
loop_
_atom_site_label
_atom_site_fract_x
_atom_site_fract_y
_atom_site_fract_z
B1 0.794 0.587 0.250
B2 0.914 0.829 0.103
B3 0.086 0.171 0.897
B4 0.206 0.413 0.750
B5 0.914 0.829 0.397
B6 0.086 0.171 0.603
Co1 0.500 0.000 0.500
Co2 0.500 0.000 0.000
Mo1 0.212 0.424 0.107
Mo2 0.788 0.576 0.893
Mo3 0.501 0.001 0.750
Mo4 0.212 0.424 0.393
Mo5 0.499 0.999 0.250
Mo6 0.788 0.576 0.607
```

Summary:
Its symmetry is Cmcm. The formation enthalpy at 0 K comes out at -0.49 eV per atom.

=====

(10)
Entry from Materials Project: crystalline CeBPt3 at its relaxed geometry (meta-GGA r2SCAN).

```
data_CeBPt3
_chemical_formula_sum 'Ce1 B1 Pt3'
_cell_length_a 3.998
_cell_length_b 3.998
_cell_length_c 5.144
_cell_angle_alpha 90.00
_cell_angle_beta 90.00
_cell_angle_gamma 90.00
_symmetry_space_group_name_H-M 'P 1'
_symmetry_Int_Tables_number 1
loop_
_symmetry_equiv_pos_as_xyz
'x,y,z'
loop_
_atom_site_label
_atom_site_fract_x
_atom_site_fract_y
_atom_site_fract_z
Pt1 0.500 0.500 0.116
Pt2 0.500 0.000 0.515
Pt3 0.000 0.500 0.515
Ce1 0.000 0.000 0.992
B1 0.500 0.500 0.704
```

Summary:
Its symmetry is P4mm. The formation enthalpy at 0 K comes out at -0.99 eV per atom.

=====

(11)
Entry from Materials Project: crystalline Na3Mg2Cl7 at its relaxed geometry (meta-GGA r2SCAN).

```
data_Na3Mg2Cl7
_chemical_formula_sum 'Na6 Mg4 Cl14'
_cell_length_a 4.918
_cell_length_b 4.918
_cell_length_c 23.770
_cell_angle_alpha 90.00
_cell_angle_beta 90.00
_cell_angle_gamma 90.00
_symmetry_space_group_name_H-M 'P 1'
_symmetry_Int_Tables_number 1
loop_
_symmetry_equiv_pos_as_xyz
'x,y,z'
loop_
_atom_site_label
_atom_site_fract_x
_atom_site_fract_y
_atom_site_fract_z
Mg1 0.000 0.000 0.605
Mg2 0.000 0.000 0.395
Mg3 0.500 0.500 0.105
Mg4 0.500 0.500 0.895
Na1 0.000 0.000 0.000
Na2 0.000 0.000 0.181
Na3 0.500 0.500 0.681
Na4 0.500 0.500 0.319
Na5 0.500 0.500 0.500
Na6 0.000 0.000 0.819
Cl1 0.000 0.500 0.101
Cl2 0.500 0.000 0.601
Cl3 0.500 0.500 0.000
Cl4 0.500 0.000 0.899
Cl5 0.500 0.000 0.399
Cl6 0.000 0.000 0.293
Cl7 0.000 0.500 0.601
Cl8 0.000 0.500 0.899
Cl9 0.000 0.000 0.500
Cl10 0.000 0.500 0.399
Cl11 0.500 0.500 0.207
Cl12 0.000 0.000 0.707
Cl13 0.500 0.500 0.793
Cl14 0.500 0.000 0.101
```

Summary:
The formation enthalpy at 0 K comes out at -1.94 eV per atom.

=====

(12)
Entry from Materials Project: crystalline Li3V6O16 at its relaxed geometry (meta-GGA r2SCAN).

```
data_Li3V6O16
_chemical_formula_sum 'Li3 V6 O16'
_cell_length_a 3.594
_cell_length_b 6.656
_cell_length_c 11.796
_cell_angle_alpha 75.27
_cell_angle_beta 90.00
_cell_angle_gamma 90.00
_symmetry_space_group_name_H-M 'P 1'
_symmetry_Int_Tables_number 1
loop_
_symmetry_equiv_pos_as_xyz
'x,y,z'
loop_
_atom_site_label
_atom_site_fract_x
_atom_site_fract_y
_atom_site_fract_z
V1 0.000 0.696 0.464
V2 0.000 0.737 0.200
V3 0.000 0.876 0.916
V4 0.500 0.119 0.081
V5 0.500 0.306 0.536
V6 0.500 0.265 0.802
Li1 0.000 0.188 0.322
Li2 0.500 0.527 0.051
Li3 0.500 0.813 0.680
O1 0.000 0.664 0.047
O2 0.000 0.180 0.827
O3 0.500 0.814 0.174
O4 0.000 0.766 0.809
O5 0.500 0.178 0.436
O6 0.000 0.392 0.540
O7 0.000 0.825 0.564
O8 0.000 0.046 0.073
O9 0.500 0.249 0.182
O10 0.000 0.877 0.328
O11 0.500 0.126 0.672
O12 0.500 0.326 0.955
O13 0.500 0.610 0.460
O14 0.500 0.500 0.720
O15 0.000 0.501 0.282
O16 0.500 0.942 0.930
```

Summary:
Its symmetry is Pm. The formation enthalpy at 0 K comes out at -2.51 eV per atom.